(1)
Compound: AgH8C4N8F
Source: the Materials Project
Functional: GGA-PBE
Structure: relaxed

Cell: 6.2083 7.7343 9.8387 Å, 93.04 97.80 97.65°
Fractional coordinates of all 44 atoms:
H (0.9185, 0.9898, 0.6968)
H (0.4031, 0.8117, 0.4042)
H (0.6764, 0.8875, 0.4711)
H (0.8976, 0.0043, 0.8740)
H (0.7910, 0.1390, 0.3786)
H (0.1108, 0.4851, 0.6309)
H (0.9550, 0.7274, 0.4380)
H (0.1024, 0.9957, 0.1260)
H (0.3632, 0.7426, 0.7360)
H (0.0450, 0.2726, 0.5620)
H (0.2090, 0.8610, 0.6214)
H (0.6368, 0.2574, 0.2640)
H (0.5969, 0.1883, 0.5958)
H (0.0815, 0.0102, 0.3032)
H (0.3236, 0.1125, 0.5289)
H (0.8892, 0.5149, 0.3691)
F (0.1733, 0.9048, 0.4475)
F (0.8267, 0.0952, 0.5525)
N (0.4389, 0.2647, 0.9770)
N (0.2507, 0.8272, 0.7209)
N (0.5611, 0.7353, 0.0230)
N (0.4944, 0.5001, 0.3105)
N (0.8732, 0.4706, 0.8100)
N (0.9657, 0.9531, 0.7949)
N (0.8390, 0.6164, 0.4200)
N (0.0343, 0.0469, 0.2051)
N (0.7493, 0.1728, 0.2791)
N (0.1268, 0.5294, 0.1900)
N (0.4348, 0.2090, 0.5862)
N (0.2020, 0.8362, 0.9556)
N (0.1610, 0.3836, 0.5800)
N (0.5056, 0.4999, 0.6895)
N (0.7980, 0.1638, 0.0444)
N (0.5652, 0.7910, 0.4138)
C (0.1413, 0.8716, 0.8227)
C (0.6283, 0.6383, 0.3814)
C (0.3908, 0.7821, 0.9872)
C (0.6092, 0.2179, 0.0128)
C (0.3717, 0.3617, 0.6186)
C (0.8587, 0.1284, 0.1773)
C (0.3030, 0.5209, 0.2506)
C (0.6970, 0.4791, 0.7494)
Ag (0.1334, 0.3581, 0.9248)
Ag (0.8666, 0.6419, 0.0752)

Output
- E (eV per atom) = -6.3741
- formation energy from the elements (kJ per mole of atoms) = -22.8
- magnetization (μB/atom) = 0.0001
- crystal system = triclinic

***

(2)
Compound: AgH8C4S3O3F3
Source: the Materials Project
Functional: GGA-PBE
Structure: relaxed

Cell: 21.9525 9.2432 11.1934 Å, 89.82 90.00 90.00°
Fractional coordinates of all 176 atoms:
O (0.8437, 0.8095, 0.3826)
O (0.6438, 0.5486, 0.9234)
O (0.8460, 0.7213, 0.5899)
O (0.6422, 0.2273, 0.4967)
O (0.3562, 0.4514, 0.0766)
O (0.1422, 0.7727, 0.0033)
O (0.8623, 0.0411, 0.1551)
O (0.3623, 0.9589, 0.3449)
O (0.1540, 0.2787, 0.4101)
O (0.3437, 0.1905, 0.1174)
O (0.6540, 0.7213, 0.0899)
O (0.8562, 0.5486, 0.4234)
O (0.3578, 0.7727, 0.5033)
O (0.6563, 0.8095, 0.8826)
O (0.3464, 0.7022, 0.2931)
O (0.8578, 0.2273, 0.9967)
O (0.1536, 0.7022, 0.7931)
O (0.1438, 0.4514, 0.5766)
O (0.6536, 0.2978, 0.7069)
O (0.1377, 0.9589, 0.8449)
O (0.6377, 0.0411, 0.6551)
O (0.1563, 0.1905, 0.6174)
O (0.3460, 0.2787, 0.9101)
O (0.8464, 0.2978, 0.2069)
C (0.5451, 0.2195, 0.6322)
C (0.2876, 0.9438, 0.9118)
C (0.1270, 0.4873, 0.1919)
C (0.1112, 0.8017, 0.5083)
C (0.2075, 0.4466, 0.9985)
C (0.8705, 0.0095, 0.7782)
C (0.3705, 0.9905, 0.7218)
C (0.9482, 0.7224, 0.4713)
C (0.3730, 0.4873, 0.6919)
C (0.7075, 0.5534, 0.5015)
C (0.8888, 0.1983, 0.4917)
C (0.3888, 0.8017, 0.0083)
C (0.6270, 0.5127, 0.3081)
C (0.9549, 0.2195, 0.1322)
C (0.4549, 0.7805, 0.3678)
C (0.5518, 0.7224, 0.9713)
C (0.0518, 0.2776, 0.5287)
C (0.7124, 0.0562, 0.0882)
C (0.1060, 0.3114, 0.8956)
C (0.8940, 0.6886, 0.1044)
C (0.2925, 0.4466, 0.4985)
C (0.7925, 0.5534, 0.0015)
C (0.3940, 0.3114, 0.3956)
C (0.2124, 0.9438, 0.4118)
C (0.8730, 0.5127, 0.8081)
C (0.6060, 0.6886, 0.6044)
C (0.0451, 0.7805, 0.8678)
C (0.6112, 0.1983, 0.9917)
C (0.6295, 0.0095, 0.2782)
C (0.1295, 0.9905, 0.2218)
C (0.4482, 0.2776, 0.0287)
C (0.7876, 0.0562, 0.5882)
H (0.7549, 0.5377, 0.5296)
H (0.0831, 0.8292, 0.4307)
H (0.3914, 0.8841, 0.7350)
H (0.9169, 0.1708, 0.5693)
H (0.8212, 0.4698, 0.0425)
H (0.8885, 0.1100, 0.4266)
H (0.3159, 0.0257, 0.9555)
H (0.3937, 0.3814, 0.6755)
H (0.7451, 0.5377, 0.0296)
H (0.8781, 0.4865, 0.7131)
H (0.2398, 0.9599, 0.9376)
H (0.2602, 0.9599, 0.4376)
H (0.1063, 0.3814, 0.1755)
H (0.4236, 0.3367, 0.4715)
H (0.6219, 0.4865, 0.2131)
H (0.1841, 0.0257, 0.4555)
H (0.8900, 0.9275, 0.7188)
H (0.6084, 0.5978, 0.6674)
H (0.1086, 0.8841, 0.2350)
H (0.6086, 0.1159, 0.2650)
H (0.6788, 0.4698, 0.5425)
H (0.8762, 0.9778, 0.8722)
H (0.2549, 0.4623, 0.9704)
H (0.1100, 0.0725, 0.2812)
H (0.3781, 0.5135, 0.7869)
H (0.9236, 0.6633, 0.0285)
H (0.6070, 0.4278, 0.3646)
H (0.0895, 0.2142, 0.8497)
H (0.5945, 0.2979, 0.9493)
H (0.1084, 0.4022, 0.8326)
H (0.5764, 0.6633, 0.5285)
H (0.3900, 0.0725, 0.7812)
H (0.5895, 0.7858, 0.6503)
H (0.6115, 0.1100, 0.9266)
H (0.1070, 0.5722, 0.1354)
H (0.7602, 0.0401, 0.0624)
H (0.3916, 0.4022, 0.3326)
H (0.8159, 0.9743, 0.5445)
H (0.3885, 0.8900, 0.0734)
H (0.1788, 0.5302, 0.9575)
H (0.3762, 0.0222, 0.6278)
H (0.6841, 0.9743, 0.0445)
H (0.8914, 0.1159, 0.7650)
H (0.9055, 0.2979, 0.4493)
H (0.8930, 0.4278, 0.8646)
H (0.8916, 0.5978, 0.1674)
H (0.0945, 0.7021, 0.5507)
H (0.3212, 0.5302, 0.4575)
H (0.3930, 0.5722, 0.6354)
H (0.0764, 0.3367, 0.9715)
H (0.4105, 0.2142, 0.3497)
H (0.1219, 0.5135, 0.2869)
H (0.6238, 0.9778, 0.3722)
H (0.5831, 0.1708, 0.0693)
H (0.4169, 0.8292, 0.9307)
H (0.9105, 0.7858, 0.1503)
H (0.2451, 0.4623, 0.4704)
H (0.6100, 0.9275, 0.2188)
H (0.7398, 0.0401, 0.5624)
H (0.6063, 0.6186, 0.3245)
H (0.4055, 0.7021, 0.0507)
H (0.1115, 0.8900, 0.5734)
H (0.8937, 0.6186, 0.8245)
H (0.1238, 0.0222, 0.1278)
S (0.7921, 0.5231, 0.8401)
S (0.6822, 0.7300, 0.5517)
S (0.1293, 0.8079, 0.8786)
S (0.7894, 0.0219, 0.7492)
S (0.8707, 0.1921, 0.1214)
S (0.8115, 0.2345, 0.5395)
S (0.1822, 0.2700, 0.9483)
S (0.6293, 0.1921, 0.6214)
S (0.2894, 0.9781, 0.7508)
S (0.3640, 0.3040, 0.0341)
S (0.8640, 0.6960, 0.4659)
S (0.7079, 0.5231, 0.3401)
S (0.2079, 0.4769, 0.1599)
S (0.3115, 0.7655, 0.9605)
S (0.8178, 0.7300, 0.0517)
S (0.1885, 0.7655, 0.4605)
S (0.3707, 0.8079, 0.3786)
S (0.3178, 0.2700, 0.4483)
S (0.7106, 0.0219, 0.2492)
S (0.6360, 0.6960, 0.9659)
S (0.6885, 0.2345, 0.0395)
S (0.2921, 0.4769, 0.6599)
S (0.2106, 0.9781, 0.2508)
S (0.1360, 0.3040, 0.5341)
Ag (0.7549, 0.7575, 0.2479)
Ag (0.2549, 0.2425, 0.2521)
Ag (0.7537, 0.2617, 0.3377)
Ag (0.7463, 0.2617, 0.8377)
Ag (0.7451, 0.7575, 0.7479)
Ag (0.2463, 0.7383, 0.6623)
Ag (0.2451, 0.2425, 0.7521)
Ag (0.2537, 0.7383, 0.1623)
F (0.4735, 0.3698, 0.9483)
F (0.4701, 0.6412, 0.3955)
F (0.0299, 0.6412, 0.8955)
F (0.9735, 0.6302, 0.5517)
F (0.4745, 0.3015, 0.1369)
F (0.9848, 0.1315, 0.0548)
F (0.4620, 0.1401, 0.9950)
F (0.0380, 0.1401, 0.4950)
F (0.4759, 0.8091, 0.2563)
F (0.5380, 0.8599, 0.0050)
F (0.9701, 0.3588, 0.1045)
F (0.5152, 0.1315, 0.5548)
F (0.0255, 0.3015, 0.6369)
F (0.5255, 0.6985, 0.8631)
F (0.0241, 0.8091, 0.7563)
F (0.9745, 0.6985, 0.3631)
F (0.0265, 0.3698, 0.4483)
F (0.0152, 0.8685, 0.9452)
F (0.5265, 0.6302, 0.0517)
F (0.9759, 0.1909, 0.2437)
F (0.5299, 0.3588, 0.6045)
F (0.5241, 0.1909, 0.7437)
F (0.9620, 0.8599, 0.5050)
F (0.4848, 0.8685, 0.4452)

Output
- E (eV per atom) = -5.1330
- formation energy from the elements (kJ per mole of atoms) = -72.3
- magnetization (μB/atom) = 0.0000
- crystal system = monoclinic

***

(3)
Compound: AgC4OF9
Source: the Materials Project
Functional: GGA-PBE
Structure: relaxed

Cell: 6.9878 10.3986 11.0240 Å, 84.87 89.36 88.04°
Fractional coordinates of all 60 atoms:
F (0.2640, 0.6744, 0.7776)
F (0.7040, 0.1868, 0.5584)
F (0.4669, 0.6948, 0.0190)
F (0.1488, 0.3604, 0.2674)
F (0.8755, 0.5865, 0.3093)
F (0.7360, 0.3256, 0.2224)
F (0.9067, 0.3267, 0.4787)
F (0.4866, 0.5282, 0.8348)
F (0.2741, 0.3023, 0.5572)
F (0.2525, 0.6350, 0.3549)
F (0.6920, 0.7552, 0.2485)
F (0.0760, 0.7298, 0.1369)
F (0.0473, 0.0743, 0.8571)
F (0.1854, 0.3792, 0.0688)
F (0.6222, 0.8746, 0.9859)
F (0.8512, 0.6396, 0.7326)
F (0.0933, 0.6733, 0.5213)
F (0.4910, 0.6254, 0.6501)
F (0.8146, 0.6208, 0.9312)
F (0.0904, 0.1973, 0.1625)
F (0.3287, 0.8650, 0.9213)
F (0.9096, 0.8027, 0.8375)
F (0.3080, 0.2448, 0.7515)
F (0.7259, 0.6977, 0.4428)
F (0.3778, 0.1254, 0.0141)
F (0.5331, 0.3052, 0.9810)
F (0.7475, 0.3650, 0.6451)
F (0.2469, 0.8823, 0.2027)
F (0.2960, 0.8132, 0.4416)
F (0.6713, 0.1350, 0.0787)
F (0.1245, 0.4135, 0.6907)
F (0.9527, 0.9257, 0.1429)
F (0.5090, 0.3746, 0.3499)
F (0.9240, 0.2702, 0.8631)
F (0.7531, 0.1177, 0.7973)
F (0.5134, 0.4718, 0.1652)
C (0.4544, 0.6428, 0.7686)
C (0.0058, 0.1992, 0.6626)
C (0.7907, 0.7027, 0.8299)
C (0.9942, 0.8008, 0.3374)
C (0.4982, 0.7966, 0.9368)
C (0.5776, 0.7554, 0.8107)
C (0.8209, 0.7072, 0.3341)
C (0.8386, 0.2720, 0.5864)
C (0.2093, 0.2973, 0.1701)
C (0.5018, 0.2034, 0.0632)
C (0.5456, 0.3572, 0.2314)
C (0.9315, 0.1661, 0.7977)
C (0.0685, 0.8339, 0.2023)
C (0.1791, 0.2928, 0.6659)
C (0.1614, 0.7280, 0.4136)
C (0.4224, 0.2446, 0.1893)
O (0.9419, 0.9132, 0.3903)
O (0.4274, 0.1398, 0.2753)
O (0.5726, 0.8602, 0.7247)
O (0.0581, 0.0868, 0.6097)
Ag (0.6890, 0.0300, 0.3236)
Ag (0.3110, 0.9700, 0.6764)
Ag (0.7985, 0.9088, 0.5830)
Ag (0.2015, 0.0912, 0.4170)

Output
- E (eV per atom) = -5.4453
- formation energy from the elements (kJ per mole of atoms) = -158.2
- magnetization (μB/atom) = 0.0000
- crystal system = triclinic